Density functional theory data (PBE) for a geometry-optimized LiNi2S4 structure.

abc: 6.8405 6.8405 6.8405
angles: 60.00 60.00 60.00
Fractional positions:
Li 0.1250 0.1250 0.1250
Li 0.8750 0.8750 0.8750
Ni 0.0000 0.5000 0.5000
Ni 0.5000 0.0000 0.5000
Ni 0.5000 0.5000 0.0000
Ni 0.5000 0.5000 0.5000
S 0.2647 0.2647 0.2647
S 0.2647 0.2647 0.7059
S 0.2647 0.7059 0.2647
S 0.2941 0.7353 0.7353
S 0.7059 0.2647 0.2647
S 0.7353 0.2941 0.7353
S 0.7353 0.7353 0.2941
S 0.7353 0.7353 0.7353

Its energy above the most stable polymorph in this dataset is 0.000 eV per atom. As for the energy with MP2020 corrections: -70.40 eV per cell. As for the formation energy: -741 meV/atom. The value obtained for the size of the total moment is 0.1 μB per formula unit.